Mg2Co3O8 | meta-GGA r2SCAN | optimized geometry

Results
formation energy	-1688	meV/atom
crystal system	monoclinic
distance to the lowest polymorph of the same formula	8	meV/atom
symmetry	No. 12
total moment	3.00	μB/f.u.

Cell: 5.7376 5.7376 4.7497 Å, 72.81 72.81 58.35°
Element x y z (fractional)
Mg (0.7261, 0.7261, 0.3432)
Mg (0.2739, 0.2739, 0.6568)
O (0.1154, 0.6620, 0.4029)
O (0.8846, 0.3380, 0.5971)
O (0.3380, 0.8846, 0.5971)
O (0.6023, 0.6023, 0.0734)
O (0.6620, 0.1154, 0.4029)
O (0.1054, 0.1054, 0.0849)
O (0.8946, 0.8946, 0.9151)
O (0.3977, 0.3977, 0.9266)
Co (0.0000, 0.0000, 0.5000)
Co (0.2585, 0.7415, 0.0000)
Co (0.7415, 0.2585, 0.0000)